Record 1
## TbAl (PBE)

Data for crystalline TbAl at its relaxed geometry. Values from VASP.

Geometry as Quantum ESPRESSO input:
```
&SYSTEM
  ibrav = 0, nat = 16, ntyp = 2
/
ATOMIC_SPECIES
Al 26.98 Al.upf
Tb 158.93 Tb.upf
CELL_PARAMETERS angstrom
5.638 0.000 0.000
0.000 5.863 0.000
0.000 0.000 11.484
ATOMIC_POSITIONS angstrom
Al 2.819 0.404 8.613
Al 4.229 1.979 10.349
Al 4.229 3.884 4.607
Al 0.000 5.460 2.871
Al 1.410 3.884 1.134
Al 0.000 0.404 8.613
Al 1.410 1.979 6.876
Al 2.819 5.460 2.871
Tb 1.410 0.954 0.171
Tb 4.229 0.954 5.571
Tb 4.229 2.353 1.925
Tb 1.410 3.511 9.559
Tb 1.410 4.909 5.913
Tb 4.229 3.511 7.667
Tb 1.410 2.353 3.817
Tb 4.229 4.909 11.313
```

Output
**Energy relative to the elements**: -416 meV per atom
**Uncorrected energy**: -4.606 eV per atom


Record 2
## Mg3As2O8 (PBE)

Data for crystalline Mg3As2O8 at its relaxed geometry. Values from VASP.

Geometry as Quantum ESPRESSO input:
```
&SYSTEM
  ibrav = 0, nat = 52, ntyp = 3
/
ATOMIC_SPECIES
O 16.00 O.upf
Mg 24.30 Mg.upf
As 74.92 As.upf
CELL_PARAMETERS angstrom
11.569 0.000 0.000
0.000 6.386 0.000
0.000 1.552 9.033
ATOMIC_POSITIONS angstrom
O 3.168 6.811 6.906
O 0.628 2.309 4.711
O 6.538 2.345 0.653
O 3.657 2.953 4.756
O 0.998 0.629 2.374
O 10.815 5.538 0.653
O 2.617 3.618 6.906
O 10.941 5.629 4.322
O 6.412 2.436 4.322
O 6.411 5.835 1.164
O 10.570 7.309 6.659
O 4.786 3.822 2.374
O 8.401 1.128 2.127
O 6.782 4.116 6.659
O 7.912 4.986 4.277
O 5.031 5.594 8.380
O 8.226 2.106 8.368
O 0.627 5.296 7.869
O 9.441 1.793 4.277
O 8.952 4.321 2.127
O 10.227 3.455 6.459
O 10.942 2.642 1.164
O 5.157 2.103 7.869
O 7.125 6.648 6.459
O 3.343 5.832 0.665
O 2.441 2.639 0.665
O 2.127 6.146 4.756
O 9.127 5.299 8.368
O 1.341 4.484 2.574
O 0.753 2.401 8.380
O 5.156 5.502 4.711
O 4.443 1.291 2.574
Mg 10.277 2.159 8.300
Mg 0.969 2.573 2.385
Mg 2.335 1.834 5.760
Mg 8.119 2.911 3.273
Mg 10.599 5.365 6.648
Mg 3.450 5.027 5.760
Mg 6.754 2.172 6.648
Mg 1.291 5.780 0.733
Mg 4.815 5.766 2.385
Mg 9.234 6.104 3.273
Mg 4.493 2.587 0.733
Mg 7.075 5.352 8.300
As 10.007 4.019 0.797
As 4.223 7.112 8.236
As 0.929 5.806 3.590
As 7.345 0.826 0.797
As 4.856 2.614 3.590
As 10.640 2.132 5.443
As 1.561 3.919 8.236
As 6.713 5.325 5.443
```

Output
**Energy relative to the elements**: -2414 meV per atom
**Magnetization**: 0.0 Bohr magnetons per cell
**Uncorrected energy**: -6.123 eV per atom


Q: Which of these has the highest uncorrected energy?
A: TbAl